# 1
# NaHfScSiS2O12

An optimized crystal structure of NaHfScSiS2O12 (PBE-GGA, the Materials Project).

Properties
**E (MP2020)**: -7.849 eV/atom
**Energy of formation from the pure elements**: -2811 meV per atom
**Total magnetization**: 0.00 μB per cell

Cell: 8.9041 8.9041 23.3231 Å, 90.23 90.23 59.84°
With the nearest neighbours (Å) after each atom.
Element x y z (fractional)
Na: 0.0025 0.9975 0.5000  5 O 2.49-2.74
Na: 0.3097 0.3375 0.8334  4 O 2.44-2.73
Na: 0.3375 0.3097 0.3334  4 O 2.44-2.73
Na: 0.6518 0.6737 0.1663  5 O 2.49-2.75
Na: 0.6737 0.6518 0.6663  5 O 2.49-2.75
Na: 0.9975 0.0025 0.0000  5 O 2.49-2.74
Hf: 0.3124 0.3178 0.9828  3 O 1.91-2.12
Hf: 0.3178 0.3124 0.4828  3 O 1.91-2.12
Hf: 0.6505 0.6774 0.3157  2 O 1.90-1.95
Hf: 0.6774 0.6505 0.8157  2 O 1.90-1.95
Hf: 0.9901 0.9908 0.6495  6 O 1.96-2.14
Hf: 0.9908 0.9901 0.1495  6 O 1.96-2.14
Sc: 0.2998 0.3401 0.6886  2 O 1.89-1.96
Sc: 0.3401 0.2998 0.1886  2 O 1.89-1.96
Sc: 0.6542 0.6584 0.5212  5 O 1.95-2.17
Sc: 0.6584 0.6542 0.0212  5 O 1.95-2.17
Sc: 0.9875 0.9960 0.3550  5 O 1.94-2.16
Sc: 0.9960 0.9875 0.8550  5 O 1.94-2.16
Si: 0.0249 0.3277 0.5862  4 O 1.62-1.66
Si: 0.3277 0.0249 0.0862  4 O 1.62-1.66
Si: 0.3615 0.9480 0.4207  4 O 1.61-1.67
Si: 0.7022 0.9940 0.2533  4 O 1.61-1.67
Si: 0.9480 0.3615 0.9207  4 O 1.61-1.67
Si: 0.9940 0.7022 0.7533  4 O 1.61-1.67
S: 0.0359 0.6141 0.0867  4 O 1.46-1.50
S: 0.2813 0.6996 0.2527  4 O 1.46-1.50
S: 0.2834 0.9902 0.7529  4 O 1.47-1.49
S: 0.3259 0.6140 0.5859  4 O 1.47-1.50
S: 0.3694 0.6567 0.9190  4 O 1.47-1.49
S: 0.6141 0.0359 0.5867  4 O 1.46-1.50
S: 0.6140 0.3259 0.0859  4 O 1.47-1.50
S: 0.6567 0.3694 0.4190  4 O 1.47-1.49
S: 0.6588 0.9489 0.9195  4 O 1.46-1.50
S: 0.6996 0.2813 0.7527  4 O 1.46-1.50
S: 0.9489 0.6588 0.4195  4 O 1.46-1.50
S: 0.9902 0.2834 0.2529  4 O 1.47-1.49
O: 0.0120 0.1505 0.5936  1 Si 1.65
O: 0.0149 0.7967 0.8093  1 Si 1.61
O: 0.0185 0.7904 0.0917  1 S 1.50
O: 0.0206 0.1758 0.3040  1 S 1.47
O: 0.1177 0.5115 0.1381  1 S 1.46
O: 0.1210 0.3521 0.6415  1 Si 1.62
O: 0.1267 0.5025 0.4257  1 S 1.50
O: 0.1397 0.3513 0.9252  1 Si 1.67
O: 0.1407 0.3087 0.2457  1 S 1.48
O: 0.1446 0.5353 0.0342  1 S 1.50
O: 0.1505 0.0120 0.0936  1 Si 1.65
O: 0.1515 0.2967 0.5300  1 Si 1.66
O: 0.1645 0.5093 0.7484  1 Si 1.63
O: 0.1664 0.7901 0.5926  1 S 1.50
O: 0.1701 0.9732 0.4120  1 Si 1.62
O: 0.1758 0.0206 0.8040  1 S 1.47
O: 0.1784 0.7823 0.3041  1 S 1.46
O: 0.1941 0.8109 0.9133  1 S 1.48
O: 0.1992 0.9666 0.7007  1 S 1.49
O: 0.2035 0.8106 0.2007  1 S 1.50
O: 0.2967 0.1515 0.0300  1 Si 1.66
O: 0.2979 0.5287 0.2444  1 S 1.46
O: 0.2997 0.5346 0.5337  1 S 1.48
O: 0.3087 0.1407 0.7457  1 S 1.48
O: 0.3513 0.1397 0.4252  1 Si 1.67
O: 0.3521 0.1210 0.1415  1 Si 1.62
O: 0.3527 0.5087 0.6375  1 S 1.47
O: 0.3552 0.4980 0.9261  1 S 1.49
O: 0.4478 0.6849 0.9708  1 S 1.47
O: 0.4547 0.8297 0.7593  1 S 1.48
O: 0.4591 0.6783 0.2589  1 S 1.50
O: 0.4593 0.8312 0.4761  1 Si 1.61
O: 0.4742 0.6342 0.8670  1 S 1.49
O: 0.4778 0.6371 0.5802  1 S 1.47
O: 0.4855 0.8575 0.3637  1 Si 1.66
O: 0.4980 0.3552 0.4261  1 S 1.49
O: 0.4985 0.8355 0.0780  1 Si 1.62
O: 0.5025 0.1267 0.9257  1 S 1.50
O: 0.5093 0.1645 0.2484  1 Si 1.63
O: 0.5087 0.3527 0.1375  1 S 1.47
O: 0.5115 0.1177 0.6381  1 S 1.46
O: 0.5287 0.2979 0.7444  1 S 1.46
O: 0.5353 0.1446 0.5342  1 S 1.50
O: 0.5346 0.2997 0.0337  1 S 1.48
O: 0.6261 0.8712 0.8674  1 S 1.50
O: 0.6342 0.4742 0.3670  1 S 1.49
O: 0.6356 0.8622 0.5791  1 S 1.47
O: 0.6371 0.4778 0.0802  1 S 1.47
O: 0.6783 0.4591 0.7589  1 S 1.50
O: 0.6818 0.8447 0.9707  1 S 1.46
O: 0.6849 0.4478 0.4708  1 S 1.47
O: 0.6858 0.8161 0.2584  1 Si 1.67
O: 0.7823 0.1784 0.8041  1 S 1.46
O: 0.7904 0.0185 0.5917  1 S 1.50
O: 0.7901 0.1664 0.0926  1 S 1.50
O: 0.7967 0.0149 0.3093  1 Si 1.61
O: 0.8109 0.1941 0.4133  1 S 1.48
O: 0.8106 0.2035 0.7007  1 S 1.50
O: 0.8125 0.9675 0.9125  1 S 1.47
O: 0.8161 0.6858 0.7584  1 Si 1.67
O: 0.8219 0.9649 0.1961  1 Si 1.65
O: 0.8297 0.4547 0.2593  1 S 1.48
O: 0.8312 0.4593 0.9761  1 Si 1.61
O: 0.8355 0.4985 0.5780  1 Si 1.62
O: 0.8447 0.6818 0.4707  1 S 1.46
O: 0.8575 0.4855 0.8637  1 Si 1.66
O: 0.8622 0.6356 0.0791  1 S 1.47
O: 0.8712 0.6261 0.3674  1 S 1.50
O: 0.9649 0.8219 0.6961  1 Si 1.65
O: 0.9666 0.1992 0.2007  1 S 1.49
O: 0.9675 0.8125 0.4125  1 S 1.47
O: 0.9732 0.1701 0.9120  1 Si 1.62


# 2
# HoCuSn

An optimized crystal structure of HoCuSn (PBE-GGA, the Materials Project).

Properties
**Energy of formation from the pure elements**: -550 meV per atom
**Total magnetization**: 0.00 μB per cell

Cell: 4.5231 4.5231 7.3008 Å, 90.00 90.00 120.00°
With the nearest neighbours (Å) after each atom.
Element x y z (fractional)
Ho: 0.0000 0.0000 0.0000  6 Sn 3.19, 6 Cu 3.19
Ho: 0.0000 0.0000 0.5000  6 Sn 3.19, 6 Cu 3.19
Cu: 0.3333 0.6667 0.2500  3 Sn 2.61
Cu: 0.6667 0.3333 0.7500  3 Sn 2.61
Sn: 0.3333 0.6667 0.7500  3 Cu 2.61
Sn: 0.6667 0.3333 0.2500  3 Cu 2.61


# 3
# Y4MgCo

An optimized crystal structure of Y4MgCo (PBE-GGA, the Materials Project).

Properties
**Energy of formation from the pure elements**: -145 meV per atom

Cell: 9.6365 9.6365 9.6365 Å, 60.00 60.00 60.00°
With the nearest neighbours (Å) after each atom.
Element x y z (fractional)
Y: 0.0333 0.6556 0.6556  3 Co 2.79
Y: 0.0630 0.0630 0.4370  2 Mg 3.31, 2 Co 3.48, 10 Y 3.49-3.62
Y: 0.0630 0.4370 0.0630  2 Mg 3.31, 2 Co 3.48, 10 Y 3.49-3.62
Y: 0.0630 0.4370 0.4370  2 Mg 3.31, 2 Co 3.48, 10 Y 3.49-3.62
Y: 0.1864 0.1864 0.8136  2 Co 2.78
Y: 0.1864 0.8136 0.1864  2 Co 2.78
Y: 0.1864 0.8136 0.8136  2 Co 2.78
Y: 0.4370 0.0630 0.0630  2 Mg 3.31, 2 Co 3.48, 10 Y 3.49-3.62
Y: 0.4370 0.0630 0.4370  2 Mg 3.31, 2 Co 3.48, 10 Y 3.49-3.62
Y: 0.4370 0.4370 0.0630  2 Mg 3.31, 2 Co 3.48, 10 Y 3.49-3.62
Y: 0.6556 0.0333 0.6556  3 Co 2.79
Y: 0.6556 0.6556 0.0333  3 Co 2.79
Y: 0.6556 0.6556 0.6556  3 Co 2.79
Y: 0.8136 0.1864 0.1864  2 Co 2.78
Y: 0.8136 0.1864 0.8136  2 Co 2.78
Y: 0.8136 0.8136 0.1864  2 Co 2.78
Mg: 0.4212 0.4212 0.4212  3 Mg 3.04, 3 Y 3.31
Mg: 0.4212 0.4212 0.7363  3 Mg 3.04, 3 Y 3.31
Mg: 0.4212 0.7363 0.4212  3 Mg 3.04, 3 Y 3.31
Mg: 0.7363 0.4212 0.4212  3 Mg 3.04, 3 Y 3.31
Co: 0.4221 0.8593 0.8593  6 Y 2.78-2.79
Co: 0.8593 0.4221 0.8593  6 Y 2.78-2.79
Co: 0.8593 0.8593 0.4221  6 Y 2.78-2.79
Co: 0.8593 0.8593 0.8593  6 Y 2.78-2.79